BaNi2As2 | PBE | relaxed

Structure (CIF):
```
data_BaNi2As2
_space_group_name_H-M_alt 'C 1 2/m 1'
_space_group_IT_number 12
_space_group_name_Hall '-C 2y'
_cell_length_a 12.2659
_cell_length_b 4.1735
_cell_length_c 4.1883
_cell_angle_alpha 90.00
_cell_angle_beta 109.33
_cell_angle_gamma 90.00
loop_
_atom_site_label
_atom_site_type_symbol
_atom_site_fract_x
_atom_site_fract_y
_atom_site_fract_z
Ba1 Ba 0.0000 0.0000 0.0000
Ni1 Ni 0.2503 0.0000 0.7789
As1 As 0.1548 0.5000 0.6340
```

Summary:
For the formation energy, the calculation gives -657 meV per atom.